LiCrPO4 after structural relaxation, computed with PBE with a Hubbard U.

Unit cell a=5.6016 b=6.3107 c=9.3516 alpha=75.91 beta=83.07 gamma=76.67
With the nearest neighbours (Å) after each atom.
Positions (direct):
Li 0.1461 0.4943 0.2426  3 O 2.04-2.13
Li 0.3081 0.6538 0.5696  3 O 2.00-2.19
Li 0.6919 0.3462 0.4304  3 O 2.00-2.19
Li 0.8539 0.5057 0.7574  3 O 2.04-2.13
Cr 0.1901 0.8499 0.8949  4 O 2.01-2.22
Cr 0.3140 0.9701 0.2743  4 O 2.03-2.20
Cr 0.6860 0.0299 0.7257  4 O 2.03-2.20
Cr 0.8099 0.1501 0.1051  4 O 2.01-2.22
P 0.1838 0.1825 0.5703  4 O 1.55-1.57
P 0.3085 0.3057 0.9467  4 O 1.54-1.57
P 0.6915 0.6943 0.0533  4 O 1.54-1.57
P 0.8162 0.8175 0.4297  4 O 1.55-1.57
O 0.0857 0.7286 0.3699  1 P 1.57
O 0.1161 0.1675 0.9312  1 P 1.57
O 0.1654 0.1884 0.4046  1 P 1.56
O 0.2029 0.5445 0.8622  1 P 1.54
O 0.2803 0.9392 0.6611  1 P 1.57
O 0.3347 0.2847 0.1137  1 P 1.56
O 0.3668 0.3254 0.5837  1 P 1.55
O 0.4305 0.7850 0.1182  1 P 1.55
O 0.5695 0.2150 0.8818  1 P 1.55
O 0.6332 0.6746 0.4163  1 P 1.55
O 0.6653 0.7153 0.8863  1 P 1.56
O 0.7197 0.0608 0.3389  1 P 1.57
O 0.7971 0.4555 0.1378  1 P 1.54
O 0.8346 0.8116 0.5954  1 P 1.56
O 0.8839 0.8325 0.0688  1 P 1.57
O 0.9143 0.2714 0.6301  1 P 1.57

ΔE_f	-2538.7	meV/atom
total moment	0.571	μB/atom
crystal system	triclinic